{"formula": "Sm3Si2Ru2", "functional": "PBE-GGA", "state": "relaxed", "final_energy_ev_per_atom": -6.90, "lattice_angstrom": [[5.6808, 0.0000, 0.0000], [0.0000, 7.8020, 0.0000], [0.0000, 0.0000, 13.4044]], "species": ["Sm", "Sm", "Ru", "Ru", "Sm", "Si", "Sm", "Sm", "Sm", "Ru", "Si", "Sm", "Ru", "Si", "Ru", "Ru", "Si", "Si", "Sm", "Si", "Sm", "Sm", "Si", "Ru", "Sm", "Si", "Sm", "Ru"], "fractional_positions": [[0.3632, 0.7489, 0.7500], [0.1473, 0.3966, 0.3998], [0.3534, 0.4697, 0.5900], [0.6466, 0.5303, 0.4100], [0.8527, 0.8966, 0.3998], [0.6048, 0.2500, 0.0000], [0.6368, 0.2489, 0.7500], [0.1473, 0.3966, 0.1002], [0.1473, 0.1034, 0.6002], [0.6466, 0.9697, 0.5900], [0.1476, 0.3988, 0.7500], [0.1473, 0.1034, 0.8998], [0.6466, 0.9697, 0.9100], [0.3952, 0.7500, 0.5000], [0.3534, 0.0303, 0.0900], [0.3534, 0.0303, 0.4100], [0.8524, 0.6012, 0.2500], [0.8524, 0.8988, 0.7500], [0.8527, 0.6034, 0.8998], [0.3952, 0.7500, 0.0000], [0.6368, 0.2511, 0.2500], [0.8527, 0.6034, 0.6002], [0.1476, 0.1012, 0.2500], [0.6466, 0.5303, 0.0900], [0.3632, 0.7511, 0.2500], [0.6048, 0.2500, 0.5000], [0.8527, 0.8966, 0.1002], [0.3534, 0.4697, 0.9100]]}